Entry a
MgCo6O8F4: relaxed, PBE with a Hubbard U.

CIF file:
```
data_MgCo6O8F4
_symmetry_space_group_name_H-M 'C 1 m 1'
_symmetry_Int_Tables_number 8
_symmetry_space_group_name_Hall 'C -2y'
_cell_length_a 8.284
_cell_length_b 6.228
_cell_length_c 8.813
_cell_angle_alpha 90.00
_cell_angle_beta 92.34
_cell_angle_gamma 90.00
loop_
_atom_site_label
_atom_site_type_symbol
_atom_site_fract_x
_atom_site_fract_y
_atom_site_fract_z
Mg1 Mg 0.000 0.000 0.000
Co1 Co 0.198 0.500 0.485
Co2 Co 0.236 0.500 0.809
Co3 Co 0.239 0.500 0.163
Co4 Co 0.277 0.000 0.341
Co5 Co 0.284 0.000 0.637
Co6 Co 0.324 0.000 0.987
O1 O 0.174 0.000 0.150
O2 O 0.241 0.313 0.644
O3 O 0.259 0.309 0.334
O4 O 0.307 0.307 0.973
O5 O 0.449 0.000 0.470
F1 F 0.001 0.500 0.135
F2 F 0.100 0.000 0.480
F3 F 0.129 0.000 0.828
F4 F 0.472 0.000 0.808
```


Entry b
MgCo6O8F4: relaxed, PBE with a Hubbard U.

CIF file:
```
data_MgCo6O8F4
_symmetry_space_group_name_H-M 'P 1'
_symmetry_Int_Tables_number 1
_symmetry_space_group_name_Hall 'P 1'
_cell_length_a 5.817
_cell_length_b 5.887
_cell_length_c 7.535
_cell_angle_alpha 105.37
_cell_angle_beta 99.51
_cell_angle_gamma 115.62
loop_
_atom_site_label
_atom_site_type_symbol
_atom_site_fract_x
_atom_site_fract_y
_atom_site_fract_z
Mg1 Mg 0.000 0.000 0.000
Co1 Co 0.001 0.018 0.509
Co2 Co 0.007 0.507 0.003
Co3 Co 0.335 0.561 0.380
Co4 Co 0.390 0.972 0.829
Co5 Co 0.650 0.028 0.191
Co6 Co 0.694 0.429 0.615
O1 O 0.033 0.695 0.828
O2 O 0.327 0.316 0.510
O3 O 0.361 0.714 0.185
O4 O 0.592 0.852 0.920
O5 O 0.657 0.302 0.821
O6 O 0.706 0.681 0.498
O7 O 0.773 0.189 0.460
O8 O 0.976 0.315 0.178
F1 F 0.091 0.181 0.812
F2 F 0.245 0.813 0.540
F3 F 0.404 0.180 0.104
F4 F 0.931 0.832 0.198
```


Which is the most stable structure? entry b is the most stable.


Entry a
Li3Fe2Si2O8: relaxed, PBE with a Hubbard U.

CIF file:
```
data_Li3Fe2Si2O8
_symmetry_space_group_name_H-M 'P 1 21 1'
_symmetry_Int_Tables_number 4
_symmetry_space_group_name_Hall 'P 2yb'
_cell_length_a 6.447
_cell_length_b 7.355
_cell_length_c 7.616
_cell_angle_alpha 90.00
_cell_angle_beta 90.86
_cell_angle_gamma 90.00
loop_
_atom_site_label
_atom_site_type_symbol
_atom_site_fract_x
_atom_site_fract_y
_atom_site_fract_z
Li1 Li 0.001 0.000 0.255
Li2 Li 0.249 0.180 0.940
Li3 Li 0.249 0.678 0.446
Fe1 Fe 0.257 0.677 0.068
Fe2 Fe 0.264 0.175 0.570
Si1 Si 0.009 0.864 0.754
Si2 Si 0.489 0.504 0.755
O1 O 0.005 0.226 0.417
O2 O 0.013 0.719 0.926
O3 O 0.198 0.495 0.237
O4 O 0.213 0.991 0.761
O5 O 0.276 0.379 0.759
O6 O 0.295 0.874 0.235
O7 O 0.493 0.631 0.934
O8 O 0.495 0.620 0.575
```


Entry b
Li3Fe2Si2O8: relaxed, PBE with a Hubbard U.

CIF file:
```
data_Li3Fe2Si2O8
_symmetry_space_group_name_H-M 'P 1 21 1'
_symmetry_Int_Tables_number 4
_symmetry_space_group_name_Hall 'P 2yb'
_cell_length_a 5.174
_cell_length_b 11.316
_cell_length_c 6.105
_cell_angle_alpha 90.00
_cell_angle_beta 91.17
_cell_angle_gamma 90.00
loop_
_atom_site_label
_atom_site_type_symbol
_atom_site_fract_x
_atom_site_fract_y
_atom_site_fract_z
Li1 Li 0.038 0.000 0.241
Li2 Li 0.052 0.998 0.757
Li3 Li 0.448 0.662 0.758
Fe1 Fe 0.068 0.752 0.026
Fe2 Fe 0.439 0.901 0.500
Si1 Si 0.063 0.237 0.492
Si2 Si 0.435 0.413 0.005
O1 O 0.007 0.162 0.710
O2 O 0.048 0.666 0.725
O3 O 0.070 0.873 0.491
O4 O 0.117 0.417 0.004
O5 O 0.377 0.262 0.466
O6 O 0.451 0.982 0.772
O7 O 0.454 0.779 0.996
O8 O 0.464 0.985 0.222
```


Entry c
Li3Fe2Si2O8: relaxed, PBE with a Hubbard U.

CIF file:
```
data_Li3Fe2Si2O8
_symmetry_space_group_name_H-M 'C 1 2 1'
_symmetry_Int_Tables_number 5
_symmetry_space_group_name_Hall 'C 2y'
_cell_length_a 7.637
_cell_length_b 7.326
_cell_length_c 6.420
_cell_angle_alpha 90.00
_cell_angle_beta 90.72
_cell_angle_gamma 90.00
loop_
_atom_site_label
_atom_site_type_symbol
_atom_site_fract_x
_atom_site_fract_y
_atom_site_fract_z
Li1 Li 0.000 0.000 0.000
Li2 Li 0.191 0.679 0.252
Fe1 Fe 0.180 0.676 0.741
Si1 Si 0.000 0.006 0.500
Si2 Si 0.000 0.363 0.000
O1 O 0.000 0.494 0.206
O2 O 0.004 0.878 0.714
O3 O 0.171 0.221 0.008
O4 O 0.179 0.129 0.497
```


Which is the most stable structure? entry a is the most stable.


Entry a
LiFe5O8: relaxed, PBE with a Hubbard U.

CIF file:
```
data_LiFe5O8
_symmetry_space_group_name_H-M 'P 43 3 2'
_symmetry_Int_Tables_number 212
_symmetry_space_group_name_Hall 'P 4acd 2ab 3'
_cell_length_a 8.490
_cell_length_b 8.490
_cell_length_c 8.490
_cell_angle_alpha 90.00
_cell_angle_beta 90.00
_cell_angle_gamma 90.00
loop_
_atom_site_label
_atom_site_type_symbol
_atom_site_fract_x
_atom_site_fract_y
_atom_site_fract_z
Li1 Li 0.125 0.125 0.125
Fe1 Fe 0.005 0.505 0.995
Fe2 Fe 0.114 0.375 0.364
O1 O 0.110 0.390 0.610
O2 O 0.117 0.121 0.874
```


Entry b
LiFe5O8: relaxed, PBE with a Hubbard U.

CIF file:
```
data_LiFe5O8
_symmetry_space_group_name_H-M 'R -3 m'
_symmetry_Int_Tables_number 166
_symmetry_space_group_name_Hall '-R 3 2"'
_cell_length_a 5.8389
_cell_length_b 5.8389
_cell_length_c 14.2658
_cell_angle_alpha 90.00
_cell_angle_beta 90.00
_cell_angle_gamma 120.00
loop_
_atom_site_label
_atom_site_type_symbol
_atom_site_fract_x
_atom_site_fract_y
_atom_site_fract_z
Li1 Li 0.0000 0.0000 0.0000
Fe1 Fe 0.0000 0.0000 0.3799
Fe2 Fe 0.0000 0.5000 0.5000
O1 O 0.0000 0.0000 0.2436
O2 O 0.0204 0.5102 0.7589
```


Which is the most stable structure? entry a is the most stable.


Entry a
Na3CoO3: relaxed, PBE with a Hubbard U.

CIF file:
```
data_Na3CoO3
_symmetry_space_group_name_H-M 'C m c e'
_symmetry_Int_Tables_number 64
_symmetry_space_group_name_Hall '-C 2ac 2'
_cell_length_a 10.965
_cell_length_b 12.346
_cell_length_c 16.348
_cell_angle_alpha 90.00
_cell_angle_beta 90.00
_cell_angle_gamma 90.00
loop_
_atom_site_label
_atom_site_type_symbol
_atom_site_fract_x
_atom_site_fract_y
_atom_site_fract_z
Na1 Na 0.000 0.025 0.219
Na2 Na 0.000 0.173 0.719
Na3 Na 0.160 0.178 0.315
Na4 Na 0.197 0.177 0.569
Na5 Na 0.202 0.027 0.086
Na6 Na 0.250 0.082 0.750
Co1 Co 0.000 0.000 0.414
Co2 Co 0.000 0.152 0.920
Co3 Co 0.000 0.172 0.093
O1 O 0.110 0.162 0.006
O2 O 0.116 0.000 0.500
O3 O 0.120 0.140 0.846
O4 O 0.121 0.007 0.661
O5 O 0.124 0.179 0.168
```


Entry b
Na3CoO3: relaxed, PBE with a Hubbard U.

CIF file:
```
data_Na3CoO3
_symmetry_space_group_name_H-M 'P 1 21/c 1'
_symmetry_Int_Tables_number 14
_symmetry_space_group_name_Hall '-P 2ybc'
_cell_length_a 6.030
_cell_length_b 5.883
_cell_length_c 12.587
_cell_angle_alpha 90.00
_cell_angle_beta 118.55
_cell_angle_gamma 90.00
loop_
_atom_site_label
_atom_site_type_symbol
_atom_site_fract_x
_atom_site_fract_y
_atom_site_fract_z
Na1 Na 0.081 0.064 0.313
Na2 Na 0.257 0.518 0.620
Na3 Na 0.303 0.018 0.598
Co1 Co 0.321 0.648 0.414
O1 O 0.061 0.741 0.933
O2 O 0.341 0.738 0.281
O3 O 0.363 0.182 0.937
```


Which is the most stable structure? entry b is the most stable.